(1)
{
  "formula": "Cr3Fe2Sb3O16",
  "functional": "GGA+U",
  "state": "relaxed",
  "lattice": [[5.242, -3.036, 0.000], [5.242, 3.036, 0.000], [-0.034, 0.000, 9.166]],
  "species": ["Cr", "Cr", "Cr", "Fe", "Fe", "Sb", "Sb", "Sb", "O", "O", "O", "O", "O", "O", "O", "O", "O", "O", "O", "O", "O", "O", "O", "O"],
  "fractional_positions": [[0.000, 0.000, 0.000], [0.338, 0.835, 0.500], [0.835, 0.338, 0.500], [0.513, 0.513, 0.221], [0.844, 0.844, 0.714], [0.000, 0.504, 0.998], [0.338, 0.338, 0.499], [0.504, 0.000, 0.998], [0.005, 0.005, 0.598], [0.124, 0.689, 0.873], [0.168, 0.168, 0.889], [0.170, 0.170, 0.395], [0.220, 0.653, 0.373], [0.335, 0.335, 0.110], [0.340, 0.839, 0.109], [0.502, 0.999, 0.607], [0.503, 0.503, 0.612], [0.645, 0.645, 0.385], [0.653, 0.220, 0.373], [0.687, 0.687, 0.869], [0.689, 0.124, 0.873], [0.835, 0.835, 0.116], [0.839, 0.340, 0.109], [0.999, 0.502, 0.607]],
  "e_tot_ev_per_atom": -6.670,
  "sg": "Cm"
}

(2)
{
  "formula": "RbTaV2O8",
  "functional": "GGA+U",
  "state": "relaxed",
  "lattice": [[15.203, 0.000, 0.000], [0.000, 5.686, 0.000], [0.000, 0.000, 9.209]],
  "species": ["Rb", "Rb", "Rb", "Rb", "Ta", "Ta", "Ta", "Ta", "V", "V", "V", "V", "V", "V", "V", "V", "O", "O", "O", "O", "O", "O", "O", "O", "O", "O", "O", "O", "O", "O", "O", "O", "O", "O", "O", "O", "O", "O", "O", "O", "O", "O", "O", "O", "O", "O", "O", "O"],
  "fractional_positions": [[0.114, 0.250, 0.052], [0.386, 0.750, 0.552], [0.614, 0.250, 0.448], [0.886, 0.750, 0.948], [0.159, 0.250, 0.504], [0.341, 0.750, 0.004], [0.659, 0.250, 0.996], [0.841, 0.750, 0.496], [0.062, 0.750, 0.319], [0.162, 0.750, 0.753], [0.338, 0.250, 0.253], [0.438, 0.250, 0.819], [0.562, 0.750, 0.181], [0.662, 0.750, 0.747], [0.838, 0.250, 0.247], [0.938, 0.250, 0.681], [0.037, 0.250, 0.579], [0.040, 0.750, 0.143], [0.056, 0.750, 0.786], [0.126, 0.004, 0.361], [0.126, 0.496, 0.361], [0.191, 0.003, 0.649], [0.191, 0.497, 0.649], [0.220, 0.750, 0.923], [0.280, 0.250, 0.423], [0.309, 0.503, 0.149], [0.309, 0.997, 0.149], [0.374, 0.504, 0.861], [0.374, 0.996, 0.861], [0.444, 0.250, 0.286], [0.460, 0.250, 0.643], [0.463, 0.750, 0.079], [0.537, 0.250, 0.921], [0.540, 0.750, 0.357], [0.556, 0.750, 0.714], [0.626, 0.004, 0.139], [0.626, 0.496, 0.139], [0.691, 0.003, 0.851], [0.691, 0.497, 0.851], [0.720, 0.750, 0.577], [0.780, 0.250, 0.077], [0.809, 0.503, 0.351], [0.809, 0.997, 0.351], [0.874, 0.504, 0.639], [0.874, 0.996, 0.639], [0.944, 0.250, 0.214], [0.960, 0.250, 0.857], [0.963, 0.750, 0.421]],
  "e_tot_ev_per_atom": -7.839,
  "sg": "Pnma"
}

no.,ΔE_f (eV/atom)
1,-1.84
2,-2.70